1.
TiInAu2 | GGA-PBE | optimized geometry

Cell lengths 4.719, 4.719, 4.719 Å; angles 60.00, 60.00, 60.00 degrees
Fractional positions:
1 Au 0.750 0.750 0.750
2 Au 0.250 0.250 0.250
3 Ti 0.500 0.500 0.500
4 In 0.000 0.000 0.000

Summary:
DFT formation energy ... -287 meV/atom
Total energy ... -18.3 eV for the cell shown

2.
Tm2InAu2 | GGA-PBE | optimized geometry

Cell lengths 7.098, 8.279, 8.279 Å; angles 90.00, 90.00, 90.00 degrees
Fractional positions:
1 Tm 0.250 0.655 0.655
2 Tm 0.750 0.655 0.655
3 Tm 0.250 0.155 0.845
4 Tm 0.750 0.155 0.845
5 Tm 0.750 0.345 0.345
6 Tm 0.250 0.845 0.155
7 Tm 0.750 0.845 0.155
8 Tm 0.250 0.345 0.345
9 Au 0.000 0.637 0.363
10 Au 0.000 0.363 0.637
11 Au 0.500 0.636 0.364
12 Au 0.500 0.137 0.137
13 Au 0.500 0.863 0.863
14 Au 0.500 0.364 0.636
15 Au 0.000 0.136 0.136
16 Au 0.000 0.864 0.864
17 In 0.750 0.500 0.000
18 In 0.250 0.500 0.000
19 In 0.250 0.000 0.500
20 In 0.750 0.000 0.500

Summary:
Distance to the lowest polymorph of the same formula ... 0.220 eV per atom
DFT formation energy ... -591 meV/atom
Total energy ... -84.8 eV for the cell shown

3.
Tm2InAu2 | GGA-PBE | optimized geometry

Cell lengths 7.980, 7.980, 7.221 Å; angles 90.00, 90.00, 90.00 degrees
Fractional positions:
1 Au 0.629 0.371 0.724
2 Au 0.371 0.629 0.276
3 Au 0.871 0.871 0.224
4 Au 0.129 0.129 0.224
5 Au 0.129 0.129 0.776
6 Au 0.371 0.629 0.724
7 Au 0.871 0.871 0.776
8 Au 0.629 0.371 0.276
9 Tm 0.343 0.343 0.000
10 Tm 0.817 0.183 0.000
11 Tm 0.657 0.657 0.000
12 Tm 0.683 0.683 0.500
13 Tm 0.157 0.843 0.500
14 Tm 0.183 0.817 0.000
15 Tm 0.317 0.317 0.500
16 Tm 0.843 0.157 0.500
17 In 0.000 0.500 0.250
18 In 0.500 0.000 0.250
19 In 0.000 0.500 0.750
20 In 0.500 0.000 0.750

Summary:
Distance to the lowest polymorph of the same formula ... 0.002 eV per atom
DFT formation energy ... -808 meV/atom
Total energy ... -89.2 eV for the cell shown

Q: Look up the DFT formation energy of the second one.
A: -591 meV/atom

Q: Look up the total energy of the third one.
A: -89.2 eV for the cell shown

Q: Among the records above, which one has the highest DFT formation energy?
A: TiInAu2